No. 1
Na6Zr7ZnP12O48 | GGA-PBE | optimized geometry

Results
Formation energy from the elements ... -226.05 eV per formula unit
Final energy ... -1693.7 eV for the cell shown
Size of the total moment ... 0.0 Bohr magnetons per cell

CIF file:
```
data_Na6Zr7ZnP12O48
_chemical_formula_sum 'Na18 Zr21 Zn3 P36 O144'
_cell_length_a 8.9590
_cell_length_b 15.4815
_cell_length_c 23.2829
_cell_angle_alpha 89.99
_cell_angle_beta 89.97
_cell_angle_gamma 89.97
_space_group_name_H-M_alt 'P 1'
_space_group_IT_number 1
_space_group_name_Hall 'P 1'
loop_
_atom_site_label
_atom_site_type_symbol
_atom_site_fract_x
_atom_site_fract_y
_atom_site_fract_z
Na1 Na 0.0000 0.0000 0.0000
Na2 Na 0.0004 0.0017 0.5017
Na3 Na 0.0016 0.3348 0.6659
Na4 Na 0.0145 0.3347 0.1733
Na5 Na 0.0142 0.6709 0.8365
Na6 Na 0.3254 0.6897 0.2594
Na7 Na 0.3705 0.9937 0.2597
Na8 Na 0.4869 0.8348 0.6715
Na9 Na 0.4935 0.1744 0.3413
Na10 Na 0.4954 0.1720 0.8358
Na11 Na 0.5014 0.5016 0.5014
Na12 Na 0.5029 0.5034 0.0007
Na13 Na 0.5142 0.8344 0.1717
Na14 Na 0.6294 0.9939 0.7574
Na15 Na 0.6772 0.6913 0.7572
Na16 Na 0.8252 0.1896 0.2597
Na17 Na 0.8704 0.4940 0.2597
Na18 Na 0.9937 0.6745 0.3410
Zr1 Zr 0.0000 0.0002 0.3571
Zr2 Zr 0.9995 0.0011 0.1479
Zr3 Zr 0.9997 0.3351 0.0217
Zr4 Zr 0.0005 0.3349 0.5189
Zr5 Zr 0.9998 0.6691 0.9811
Zr6 Zr 0.0009 0.6681 0.4815
Zr7 Zr 0.0020 0.3349 0.8153
Zr8 Zr 0.0043 0.0018 0.6481
Zr9 Zr 0.0046 0.9992 0.8555
Zr10 Zr 0.0085 0.6680 0.6867
Zr11 Zr 0.4970 0.1711 0.6870
Zr12 Zr 0.4975 0.1708 0.1861
Zr13 Zr 0.4992 0.5014 0.1477
Zr14 Zr 0.4994 0.5028 0.8559
Zr15 Zr 0.4996 0.5004 0.3571
Zr16 Zr 0.5002 0.5011 0.6476
Zr17 Zr 0.5007 0.8350 0.0191
Zr18 Zr 0.5023 0.1668 0.9811
Zr19 Zr 0.5021 0.1677 0.4817
Zr20 Zr 0.5022 0.8352 0.5199
Zr21 Zr 0.9981 0.6708 0.1859
Zn1 Zn 0.0102 0.3347 0.3246
Zn2 Zn 0.4901 0.8350 0.8222
Zn3 Zn 0.5100 0.8346 0.3246
P1 P 0.1450 0.1477 0.2518
P2 P 0.1464 0.1896 0.9185
P3 P 0.1461 0.4800 0.9186
P4 P 0.1463 0.5217 0.5842
P5 P 0.1482 0.8141 0.5841
P6 P 0.1481 0.8558 0.2517
P7 P 0.2082 0.5000 0.2512
P8 P 0.2089 0.1690 0.5841
P9 P 0.2115 0.8342 0.9172
P10 P 0.2909 0.3336 0.4170
P11 P 0.2930 0.6690 0.0850
P12 P 0.2952 0.9999 0.7517
P13 P 0.3554 0.0218 0.0854
P14 P 0.3547 0.3146 0.0834
P15 P 0.3546 0.6908 0.4153
P16 P 0.3560 0.3570 0.7521
P17 P 0.3571 0.6486 0.7519
P18 P 0.3573 0.9804 0.4154
P19 P 0.6453 0.6477 0.2518
P20 P 0.6466 0.0224 0.5862
P21 P 0.6469 0.6903 0.9152
P22 P 0.6471 0.9800 0.9152
P23 P 0.6480 0.3137 0.5846
P24 P 0.6481 0.3559 0.2516
P25 P 0.7083 0.0001 0.2512
P26 P 0.7104 0.6689 0.5862
P27 P 0.7107 0.3351 0.9182
P28 P 0.7910 0.5016 0.7513
P29 P 0.7906 0.8338 0.4169
P30 P 0.7929 0.1687 0.0855
P31 P 0.8532 0.8150 0.0839
P32 P 0.8543 0.8553 0.7515
P33 P 0.8545 0.1904 0.4150
P34 P 0.8551 0.5224 0.0855
P35 P 0.8560 0.1464 0.7516
P36 P 0.8568 0.4806 0.4151
O1 O 0.0704 0.2360 0.2559
O2 O 0.0740 0.4318 0.5787
O3 O 0.0749 0.0993 0.9123
O4 O 0.0752 0.5708 0.9242
O5 O 0.0760 0.9044 0.5909
O6 O 0.0780 0.1014 0.1984
O7 O 0.0787 0.7635 0.2456
O8 O 0.0792 0.8991 0.3051
O9 O 0.0799 0.2339 0.9721
O10 O 0.0800 0.4362 0.8648
O11 O 0.0802 0.5659 0.6385
O12 O 0.0810 0.7699 0.5312
O13 O 0.1020 0.4234 0.2553
O14 O 0.1069 0.7547 0.9263
O15 O 0.1091 0.2499 0.5786
O16 O 0.1099 0.0877 0.5905
O17 O 0.1114 0.9126 0.1987
O18 O 0.1107 0.9164 0.9134
O19 O 0.1119 0.5853 0.2449
O20 O 0.1130 0.4250 0.9723
O21 O 0.1143 0.2450 0.8647
O22 O 0.1140 0.5776 0.5313
O23 O 0.1155 0.7587 0.6384
O24 O 0.1188 0.0888 0.3046
O25 O 0.1835 0.9901 0.4126
O26 O 0.1842 0.0132 0.0913
O27 O 0.1839 0.3234 0.0785
O28 O 0.1838 0.6787 0.4252
O29 O 0.1847 0.3471 0.7582
O30 O 0.1850 0.6562 0.7457
O31 O 0.1897 0.6577 0.0330
O32 O 0.1921 0.3460 0.4711
O33 O 0.1928 0.9927 0.6982
O34 O 0.1948 0.0128 0.8051
O35 O 0.1975 0.6796 0.1407
O36 O 0.2029 0.3186 0.3626
O37 O 0.3002 0.8188 0.8631
O38 O 0.3079 0.1803 0.6384
O39 O 0.3089 0.1576 0.5312
O40 O 0.3096 0.4918 0.1976
O41 O 0.3097 0.5166 0.3038
O42 O 0.3095 0.8465 0.9716
O43 O 0.3174 0.4890 0.9130
O44 O 0.3180 0.1804 0.9244
O45 O 0.3176 0.5129 0.5908
O46 O 0.3184 0.8465 0.2547
O47 O 0.3188 0.1518 0.2449
O48 O 0.3189 0.8232 0.5786
O49 O 0.3760 0.7394 0.3588
O50 O 0.3870 0.2593 0.1379
O51 O 0.3880 0.4113 0.6981
O52 O 0.3880 0.5919 0.8057
O53 O 0.3902 0.0793 0.0331
O54 O 0.3909 0.4163 0.4127
O55 O 0.3922 0.5876 0.0907
O56 O 0.3923 0.7497 0.0789
O57 O 0.3923 0.9234 0.4683
O58 O 0.3962 0.0826 0.7459
O59 O 0.3957 0.2545 0.4260
O60 O 0.3994 0.9217 0.7551
O61 O 0.4183 0.9451 0.3588
O62 O 0.4194 0.0645 0.1409
O63 O 0.4219 0.2697 0.0307
O64 O 0.4228 0.4006 0.8057
O65 O 0.4236 0.7364 0.4683
O66 O 0.4254 0.0719 0.4251
O67 O 0.4245 0.6008 0.6990
O68 O 0.4269 0.4044 0.0901
O69 O 0.4274 0.5989 0.4121
O70 O 0.4277 0.2661 0.7464
O71 O 0.4283 0.9322 0.0791
O72 O 0.4344 0.7365 0.7555
O73 O 0.5705 0.7360 0.2559
O74 O 0.5743 0.9326 0.5792
O75 O 0.5748 0.5984 0.9127
O76 O 0.5757 0.4042 0.5911
O77 O 0.5781 0.0716 0.9257
O78 O 0.5781 0.6013 0.1984
O79 O 0.5782 0.7354 0.9687
O80 O 0.5787 0.2636 0.2455
O81 O 0.5793 0.3991 0.3051
O82 O 0.5808 0.2699 0.5315
O83 O 0.5823 0.0648 0.6416
O84 O 0.5843 0.9447 0.8592
O85 O 0.6021 0.9234 0.2553
O86 O 0.6104 0.5875 0.5918
O87 O 0.6104 0.7495 0.5793
O88 O 0.6111 0.2539 0.9242
O89 O 0.6113 0.4126 0.1986
O90 O 0.6113 0.4162 0.9121
O91 O 0.6123 0.0794 0.5337
O92 O 0.6119 0.0855 0.2447
O93 O 0.6121 0.9235 0.9687
O94 O 0.6147 0.2588 0.6388
O95 O 0.6189 0.5887 0.3046
O96 O 0.6251 0.7394 0.8592
O97 O 0.6828 0.1517 0.7456
O98 O 0.6832 0.4900 0.4126
O99 O 0.6827 0.8237 0.0787
O100 O 0.6840 0.1785 0.4251
O101 O 0.6842 0.5131 0.0911
O102 O 0.6838 0.8466 0.7547
O103 O 0.6902 0.1581 0.0331
O104 O 0.6908 0.5159 0.8045
O105 O 0.6924 0.8461 0.4712
O106 O 0.6928 0.4896 0.6977
O107 O 0.6976 0.1799 0.1410
O108 O 0.7028 0.8186 0.3625
O109 O 0.8054 0.6794 0.6417
O110 O 0.8094 0.3465 0.9720
O111 O 0.8098 0.0168 0.3038
O112 O 0.8104 0.3239 0.8646
O113 O 0.8098 0.9919 0.1976
O114 O 0.8127 0.6574 0.5337
O115 O 0.8182 0.0132 0.5919
O116 O 0.8184 0.3465 0.2546
O117 O 0.8176 0.6778 0.9257
O118 O 0.8188 0.3232 0.5788
O119 O 0.8190 0.6517 0.2449
O120 O 0.8201 0.9906 0.9125
O121 O 0.8761 0.2395 0.3587
O122 O 0.8852 0.0890 0.8047
O123 O 0.8852 0.5857 0.7452
O124 O 0.8863 0.7595 0.1382
O125 O 0.8906 0.5792 0.0333
O126 O 0.8911 0.9130 0.6989
O127 O 0.8910 0.9163 0.4127
O128 O 0.8922 0.0876 0.0908
O129 O 0.8919 0.2497 0.0794
O130 O 0.8918 0.4236 0.4682
O131 O 0.8933 0.4222 0.7580
O132 O 0.8952 0.7546 0.4259
O133 O 0.9184 0.4451 0.3588
O134 O 0.9195 0.5643 0.1411
O135 O 0.9207 0.7704 0.0311
O136 O 0.9224 0.1037 0.6977
O137 O 0.9232 0.2360 0.4680
O138 O 0.9233 0.7632 0.7455
O139 O 0.9228 0.8988 0.8052
O140 O 0.9242 0.2373 0.7583
O141 O 0.9247 0.5720 0.4250
O142 O 0.9260 0.9047 0.0905
O143 O 0.9275 0.0988 0.4121
O144 O 0.9277 0.4324 0.0793
```


No. 2
Si2Ag6O7 | GGA-PBE | optimized geometry

Results
Formation energy from the elements ... -21.80 eV per formula unit
Final energy ... -317.9 eV for the cell shown
Size of the total moment ... 0.0 Bohr magnetons per cell
Energy above the most stable polymorph in this dataset ... 2 meV per atom

CIF file:
```
data_Si2Ag6O7
_chemical_formula_sum 'Si8 Ag24 O28'
_cell_length_a 5.4417
_cell_length_b 9.8513
_cell_length_c 16.2416
_cell_angle_alpha 90.00
_cell_angle_beta 90.67
_cell_angle_gamma 90.00
_space_group_name_H-M_alt 'P 1 21 1'
_space_group_IT_number 4
_space_group_name_Hall 'P 2yb'
loop_
_atom_site_label
_atom_site_type_symbol
_atom_site_fract_x
_atom_site_fract_y
_atom_site_fract_z
Si1 Si 0.2224 0.0000 0.3035
Si2 Si 0.2478 0.2144 0.4373
Si3 Si 0.2520 0.1988 0.9605
Si4 Si 0.2532 0.0075 0.8070
Ag1 Ag 0.1711 0.2453 0.6756
Ag2 Ag 0.2113 0.9289 0.0722
Ag3 Ag 0.2125 0.5181 0.5204
Ag4 Ag 0.2137 0.4676 0.3138
Ag5 Ag 0.2171 0.4820 0.0463
Ag6 Ag 0.2192 0.4587 0.8329
Ag7 Ag 0.2187 0.9500 0.5764
Ag8 Ag 0.2224 0.7473 0.9281
Ag9 Ag 0.2281 0.2638 0.1721
Ag10 Ag 0.2322 0.7447 0.6975
Ag11 Ag 0.2386 0.7249 0.2086
Ag12 Ag 0.3381 0.7607 0.4198
O1 O 0.0347 0.0814 0.2402
O2 O 0.0531 0.5145 0.1906
O3 O 0.0530 0.7043 0.0483
O4 O 0.0554 0.7152 0.5686
O5 O 0.0659 0.9056 0.3704
O6 O 0.3466 0.1420 0.0503
O7 O 0.3492 0.1536 0.5255
O8 O 0.3527 0.8491 0.8173
O9 O 0.3550 0.3708 0.4261
O10 O 0.3584 0.0941 0.8883
O11 O 0.3636 0.1200 0.3608
O12 O 0.3671 0.3510 0.9430
O13 O 0.3679 0.0715 0.7228
O14 O 0.4271 0.9094 0.2552
```


No. 3
CsHfMg14O15 | GGA-PBE | optimized geometry

Results
Formation energy from the elements ... -83.92 eV per formula unit
Final energy ... -181.1 eV for the cell shown
Size of the total moment ... 1.0 Bohr magnetons per cell
Energy above the most stable polymorph in this dataset ... 37 meV per atom

CIF file:
```
data_CsHfMg14O15
_chemical_formula_sum 'Cs1 Hf1 Mg14 O15'
_cell_length_a 4.1652
_cell_length_b 8.3969
_cell_length_c 11.6162
_cell_angle_alpha 90.00
_cell_angle_beta 90.00
_cell_angle_gamma 90.00
_space_group_name_H-M_alt 'P m m 2'
_space_group_IT_number 25
_space_group_name_Hall 'P 2 -2'
loop_
_atom_site_label
_atom_site_type_symbol
_atom_site_fract_x
_atom_site_fract_y
_atom_site_fract_z
Cs1 Cs 0.0000 0.0000 0.0000
Hf1 Hf 0.0000 0.5000 0.5349
Mg1 Mg 0.0000 0.0000 0.5421
Mg2 Mg 0.0000 0.2344 0.3218
Mg3 Mg 0.0000 0.2480 0.7400
Mg4 Mg 0.0000 0.5000 0.1128
Mg5 Mg 0.5000 0.0000 0.3327
Mg6 Mg 0.5000 0.0000 0.7278
Mg7 Mg 0.5000 0.2398 0.5381
Mg8 Mg 0.5000 0.2450 0.1522
Mg9 Mg 0.5000 0.5000 0.3239
Mg10 Mg 0.5000 0.5000 0.7971
O1 O 0.0000 0.0000 0.3692
O2 O 0.0000 0.0000 0.7306
O3 O 0.0000 0.2561 0.5528
O4 O 0.0000 0.2702 0.1517
O5 O 0.0000 0.5000 0.3621
O6 O 0.5000 0.0000 0.1597
O7 O 0.5000 0.0000 0.5487
O8 O 0.5000 0.2497 0.7391
O9 O 0.5000 0.2514 0.3507
O10 O 0.5000 0.5000 0.1510
O11 O 0.5000 0.5000 0.5338
```